Computed, not measured: GaN after structural relaxation at the GGA-PBE level of DFT.

## Properties
Largest piezoelectric modulus ... 0.1 C/m2
Calculated formation energy ... -0.652 eV per atom
Mass density ... 5.9 g cm⁻³

a b c (Å): 4.546 4.546 4.546
angles (deg): 90.00 90.00 90.00
Fractional positions:
Ga1 0.000 0.000 0.000
Ga2 0.000 0.500 0.500
Ga3 0.500 0.000 0.500
Ga4 0.500 0.500 0.000
N1 0.250 0.250 0.750
N2 0.250 0.750 0.250
N3 0.750 0.250 0.250
N4 0.750 0.750 0.750